No. 1
Compound: Li6TiCr3P6O24
Source: the Materials Project database
Functional: PBE+U
Structure: relaxed

a b c (Å): 8.488 8.551 8.570
angles (deg): 61.48 61.74 61.63
Space group P1 (No. 1)
One atom of each set of equivalent atoms:
Li: 0.000 0.000 0.000 [1 per cell]
Li: 0.091 0.509 0.888 [1 per cell]
Li: 0.275 0.853 0.649 [1 per cell]
Li: 0.484 0.691 0.307 [1 per cell]
Li: 0.722 0.352 0.147 [1 per cell]
Li: 0.907 0.087 0.493 [1 per cell]
Ti: 0.896 0.498 0.300 [1 per cell]
Cr: 0.105 0.703 0.506 [1 per cell]
Cr: 0.391 0.994 0.791 [1 per cell]
Cr: 0.607 0.210 0.007 [1 per cell]
P: 0.208 0.098 0.188 [1 per cell]
P: 0.303 0.601 0.102 [1 per cell]
P: 0.498 0.389 0.614 [1 per cell]
P: 0.700 0.902 0.403 [1 per cell]
P: 0.791 0.815 0.903 [1 per cell]
P: 0.999 0.303 0.702 [1 per cell]
O: 0.016 0.262 0.222 [1 per cell]
O: 0.056 0.461 0.675 [1 per cell]
O: 0.136 0.540 0.146 [1 per cell]
O: 0.157 0.110 0.719 [1 per cell]
O: 0.188 0.936 0.380 [1 per cell]
O: 0.218 0.056 0.028 [1 per cell]
O: 0.279 0.655 0.260 [1 per cell]
O: 0.294 0.772 0.919 [1 per cell]
O: 0.336 0.581 0.590 [1 per cell]
O: 0.378 0.142 0.148 [1 per cell]
O: 0.453 0.225 0.639 [1 per cell]
O: 0.492 0.442 0.076 [1 per cell]
O: 0.510 0.916 0.562 [1 per cell]
O: 0.549 0.359 0.774 [1 per cell]
O: 0.617 0.851 0.866 [1 per cell]
O: 0.660 0.419 0.418 [1 per cell]
O: 0.697 0.084 0.232 [1 per cell]
O: 0.739 0.736 0.346 [1 per cell]
O: 0.777 0.972 0.952 [1 per cell]
O: 0.817 0.620 0.065 [1 per cell]
O: 0.843 0.276 0.895 [1 per cell]
O: 0.860 0.871 0.460 [1 per cell]
O: 0.939 0.341 0.540 [1 per cell]
O: 0.980 0.787 0.740 [1 per cell]

magnetic moment = 0.250 μB per atom
energy of formation = -2.677 eV/atom

---

No. 2
Compound: Mg6NbCrO8
Source: the Materials Project database
Functional: PBE+U
Structure: relaxed

a b c (Å): 4.295 4.295 8.996
angles (deg): 90.00 90.00 90.00
Space group P4/mmm (No. 123)
One atom of each set of equivalent atoms:
Mg: 0.000 0.000 0.000 [1 per cell]
Mg: 0.000 0.000 0.500 [1 per cell]
Mg: 0.000 0.500 0.245 [4 per cell]
Nb: 0.500 0.500 0.500 [1 per cell]
Cr: 0.500 0.500 0.000 [1 per cell]
O: 0.000 0.000 0.251 [2 per cell]
O: 0.000 0.500 0.000 [2 per cell]
O: 0.000 0.500 0.500 [2 per cell]
O: 0.500 0.500 0.251 [2 per cell]

magnetic moment = 0.306 μB per atom
relative energy among the computed polymorphs = 0.51 eV per formula unit
energy of formation = -2.576 eV/atom

---

No. 3
Compound: Li2MnF4
Source: the Materials Project database
Functional: PBE+U
Structure: relaxed

a b c (Å): 9.489 5.478 6.134
angles (deg): 90.00 90.45 90.00
Space group C2 (No. 5)
One atom of each set of equivalent atoms:
Li: 0.000 0.000 0.000 [2 per cell]
Li: 0.000 0.002 0.500 [2 per cell]
Li: 0.160 0.438 0.166 [4 per cell]
Mn: 0.152 0.539 0.674 [4 per cell]
F: 0.011 0.254 0.741 [4 per cell]
F: 0.029 0.743 0.253 [4 per cell]
F: 0.226 0.902 0.574 [4 per cell]
F: 0.229 0.101 0.049 [4 per cell]

magnetic moment = 0.714 μB per atom
piezoelectric modulus e_max = 0.4 C/m²
relative energy among the computed polymorphs = 0.43 eV per formula unit
energy of formation = -2.997 eV/atom

---

No. 4
Compound: MgFe8O8F8
Source: the Materials Project database
Functional: PBE+U
Structure: relaxed

a b c (Å): 9.871 3.066 9.913
angles (deg): 90.00 93.25 90.00
Space group Pm (No. 6)
One atom of each set of equivalent atoms:
Mg: 0.000 0.000 0.000 [1 per cell]
Fe: 0.214 0.000 0.499 [1 per cell]
Fe: 0.265 0.000 0.027 [1 per cell]
Fe: 0.475 0.500 0.267 [1 per cell]
Fe: 0.503 0.500 0.762 [1 per cell]
Fe: 0.700 0.000 0.073 [1 per cell]
Fe: 0.755 0.000 0.505 [1 per cell]
Fe: 0.967 0.500 0.281 [1 per cell]
Fe: 0.999 0.500 0.710 [1 per cell]
O: 0.079 0.000 0.351 [1 per cell]
O: 0.133 0.500 0.061 [1 per cell]
O: 0.146 0.500 0.595 [1 per cell]
O: 0.382 0.000 0.191 [1 per cell]
O: 0.618 0.500 0.143 [1 per cell]
O: 0.824 0.500 0.408 [1 per cell]
O: 0.886 0.000 0.157 [1 per cell]
O: 0.895 0.000 0.650 [1 per cell]
F: 0.102 0.000 0.826 [1 per cell]
F: 0.337 0.500 0.425 [1 per cell]
F: 0.365 0.500 0.920 [1 per cell]
F: 0.399 0.000 0.661 [1 per cell]
F: 0.575 0.000 0.384 [1 per cell]
F: 0.613 0.000 0.876 [1 per cell]
F: 0.651 0.500 0.607 [1 per cell]
F: 0.897 0.500 0.901 [1 per cell]

magnetic moment = 0.037 μB per atom
relative energy among the computed polymorphs = 0.36 eV per formula unit
energy of formation = -2.115 eV/atom

---

No. 5
Compound: CrClO
Source: the Materials Project database
Functional: PBE+U
Structure: relaxed

a b c (Å): 3.249 3.940 8.507
angles (deg): 90.00 90.00 90.00
Space group Pmmn (No. 59, origin choice 2)
One atom of each set of equivalent atoms:
Cr: 0.250 0.250 0.101 [2 per cell]
Cl: 0.250 0.750 0.697 [2 per cell]
O: 0.250 0.750 0.049 [2 per cell]

energy of formation = -1.819 eV/atom

---

No. 6
Compound: Mn2FeP3O12
Source: the Materials Project database
Functional: PBE+U
Structure: relaxed

a b c (Å): 8.6888 8.6888 20.4177
angles (deg): 90.00 90.00 120.00
Space group R-3c (No. 167, hexagonal axes)
One atom of each set of equivalent atoms:
Mn: 0.0000 0.0000 0.1451 [12 per cell]
Fe: 0.0000 0.0000 0.0000 [6 per cell]
P: 0.0000 0.2980 0.2500 [18 per cell]
O: 0.0093 0.1772 0.9283 [36 per cell]
O: 0.0087 0.2075 0.3123 [36 per cell]

magnetic moment = 0.722 μB per atom
relative energy among the computed polymorphs = 1.42 eV per formula unit
energy of formation = -2.315 eV/atom

---

No. 7
Compound: CrAgO4
Source: the Materials Project database
Functional: PBE+U
Structure: relaxed

a b c (Å): 5.812 8.809 8.610
angles (deg): 90.00 116.64 90.00
Space group P2_1/c (No. 14)
One atom of each set of equivalent atoms:
Cr: 0.090 0.044 0.284 [4 per cell]
Ag: 0.361 0.708 0.601 [4 per cell]
O: 0.033 0.072 0.476 [4 per cell]
O: 0.186 0.532 0.392 [4 per cell]
O: 0.246 0.197 0.280 [4 per cell]
O: 0.265 0.610 0.815 [4 per cell]

magnetic moment = 0.000 μB per atom
relative energy among the computed polymorphs = 2.40 eV per formula unit
energy of formation = -0.797 eV/atom

---

No. 8
Compound: Li3FeO3
Source: the Materials Project database
Functional: PBE+U
Structure: relaxed

a b c (Å): 8.902 8.902 3.630
angles (deg): 90.00 90.00 90.00
Space group P4_2/mnm (No. 136)
One atom of each set of equivalent atoms:
Li: 0.101 0.359 0.000 [8 per cell]
Li: 0.168 0.168 0.500 [4 per cell]
Fe: 0.115 0.885 0.000 [4 per cell]
O: 0.102 0.102 0.000 [4 per cell]
O: 0.112 0.678 0.000 [8 per cell]

magnetic moment = 0.429 μB per atom
relative energy among the computed polymorphs = 0.19 eV per formula unit
energy of formation = -1.941 eV/atom

---

No. 9
Compound: MgTiV2CrO10
Source: the Materials Project database
Functional: PBE+U
Structure: relaxed

a b c (Å): 6.506 6.506 5.482
angles (deg): 90.00 90.00 90.00
Space group P-4m2 (No. 115)
One atom of each set of equivalent atoms:
Mg: 0.000 0.000 0.000 [1 per cell]
Ti: 0.500 0.500 0.500 [1 per cell]
V: 0.000 0.500 0.623 [2 per cell]
Cr: 0.000 0.000 0.500 [1 per cell]
O: 0.000 0.204 0.721 [4 per cell]
O: 0.000 0.500 0.327 [2 per cell]
O: 0.274 0.500 0.700 [4 per cell]

magnetic moment = 0.133 μB per atom
relative energy among the computed polymorphs = 1.17 eV per formula unit
energy of formation = -2.442 eV/atom

---

No. 10
Compound: ZnNi2O4
Source: the Materials Project database
Functional: PBE+U
Structure: relaxed

a b c (Å): 2.903 9.569 9.506
angles (deg): 90.00 90.00 90.00
Space group Cmcm (No. 63)
One atom of each set of equivalent atoms:
Zn: 0.000 0.109 0.250 [4 per cell]
Ni: 0.000 0.367 0.069 [8 per cell]
O: 0.000 0.000 0.000 [4 per cell]
O: 0.000 0.273 0.613 [8 per cell]
O: 0.000 0.459 0.250 [4 per cell]

magnetic moment = 0.286 μB per atom
relative energy among the computed polymorphs = 0.84 eV per formula unit
energy of formation = -1.110 eV/atom

---

No. 11
Compound: KLaZrVO6
Source: the Materials Project database
Functional: PBE+U
Structure: relaxed

a b c (Å): 8.063 8.063 8.063
angles (deg): 90.00 90.00 90.00
Space group F-43m (No. 216)
One atom of each set of equivalent atoms:
K: 0.000 0.000 0.000 [4 per cell]
La: 0.000 0.000 0.500 [4 per cell]
Zr: 0.250 0.250 0.250 [4 per cell]
V: 0.250 0.250 0.750 [4 per cell]
O: 0.009 0.250 0.750 [24 per cell]

magnetic moment = 0.100 μB per atom
energy of formation = -3.076 eV/atom

---

No. 12
Compound: TbMoClO4
Source: the Materials Project database
Functional: PBE+U
Structure: relaxed

a b c (Å): 10.346 7.360 6.939
angles (deg): 90.00 107.15 90.00
Space group C2/m (No. 12)
One atom of each set of equivalent atoms:
Tb: 0.222 0.000 0.112 [4 per cell]
Mo: 0.138 0.500 0.269 [4 per cell]
Cl: 0.010 0.000 0.766 [4 per cell]
O: 0.042 0.500 0.797 [4 per cell]
O: 0.199 0.310 0.152 [8 per cell]
O: 0.206 0.500 0.535 [4 per cell]

magnetic moment = 0.000 μB per atom
energy of formation = -2.602 eV/atom

---

No. 13
Compound: CoHO2
Source: the Materials Project database
Functional: PBE+U
Structure: relaxed

a b c (Å): 4.860 5.231 6.046
angles (deg): 86.49 85.45 68.49
Space group P-1 (No. 2)
One atom of each set of equivalent atoms:
Co: 0.002 0.241 0.378 [2 per cell]
Co: 0.002 0.254 0.875 [2 per cell]
H: 0.455 0.765 0.880 [2 per cell]
H: 0.461 0.259 0.632 [2 per cell]
O: 0.213 0.352 0.133 [2 per cell]
O: 0.221 0.832 0.376 [2 per cell]
O: 0.224 0.849 0.881 [2 per cell]
O: 0.227 0.337 0.629 [2 per cell]

magnetic moment = 0.250 μB per atom
energy of formation = -1.222 eV/atom

---

No. 14
Compound: Ca7MgMn8O24
Source: the Materials Project database
Functional: PBE+U
Structure: relaxed

a b c (Å): 7.580 7.580 7.580
angles (deg): 90.00 90.00 90.00
Space group Pm-3m (No. 221)
One atom of each set of equivalent atoms:
Ca: 0.000 0.000 0.000 [1 per cell]
Ca: 0.000 0.000 0.500 [3 per cell]
Ca: 0.000 0.500 0.500 [3 per cell]
Mg: 0.500 0.500 0.500 [1 per cell]
Mn: 0.250 0.250 0.250 [8 per cell]
O: 0.000 0.250 0.250 [12 per cell]
O: 0.252 0.252 0.500 [12 per cell]

magnetic moment = 0.609 μB per atom
energy of formation = -2.351 eV/atom